Here is a geometry-optimized Lu2TcPd structure from the Materials Project. Energies are from PBE.

Unit cell a=4.7885 b=4.7885 c=4.7885 alpha=60.00 beta=60.00 gamma=60.00
Last column: nearest neighbours and their distance in Å.
Fractional positions:
Lu 0.2500 0.2500 0.2500  4 Tc 2.93, 4 Pd 2.93
Lu 0.7500 0.7500 0.7500  4 Tc 2.93, 4 Pd 2.93
Tc 0.0000 0.0000 0.0000  8 Lu 2.93
Pd 0.5000 0.5000 0.5000  8 Lu 2.93

Properties
ΔH_f (0 K)	-498	meV per atom


Here is a geometry-optimized Li2BF5 structure from the Materials Project. Energies are from PBE.

Unit cell a=7.1024 b=7.1024 c=7.1024 alpha=136.58 beta=136.58 gamma=63.08
Last column: nearest neighbours and their distance in Å.
Fractional positions:
Li 0.3750 0.1250 0.7500  6 F 2.00-2.09
Li 0.8750 0.6250 0.2500  6 F 2.00-2.09
Li 0.3750 0.6250 0.7500  6 F 2.00-2.09
Li 0.3750 0.6250 0.2500  6 F 2.00-2.09
B 0.0000 0.0000 0.0000  4 F 1.42
B 0.7500 0.2500 0.5000  4 F 1.42
F 0.2500 0.7500 0.5000  4 Li 2.00
F 0.5000 0.5000 0.0000  4 Li 2.00
F 0.0666 0.8449 0.7783  1 B 1.42
F 0.5949 0.3166 0.2783  1 B 1.42
F 0.0383 0.3166 0.7217  1 B 1.42
F 0.0666 0.2883 0.2217  1 B 1.42
F 0.6834 0.4051 0.7217  1 B 1.42
F 0.1551 0.9334 0.2217  1 B 1.42
F 0.7117 0.9334 0.7783  1 B 1.42
F 0.6834 0.9617 0.2783  1 B 1.42

Properties
ΔH_f (0 K)	-3195	meV per atom


Here is a geometry-optimized SnTe structure from the Materials Project. Energies are from PBE.

Unit cell a=5.1069 b=5.1069 c=5.1069 alpha=60.00 beta=60.00 gamma=60.00
Last column: nearest neighbours and their distance in Å.
Fractional positions:
Sn 0.0000 0.0000 0.0000  4 Te 3.13
Te 0.2500 0.2500 0.2500  4 Sn 3.13

Properties
ΔH_f (0 K)	-245	meV per atom


Here is a geometry-optimized NaEuRe4O20 structure from the Materials Project. Energies are from PBE.

Unit cell a=5.8627 b=12.6483 c=12.6483 alpha=90.00 beta=90.00 gamma=90.00
Last column: nearest neighbours and their distance in Å.
Fractional positions:
Na 0.0000 0.0000 0.0000  8 O 2.57-2.69
Na 0.5000 0.5000 0.5000  8 O 2.57-2.69
Eu 0.2500 0.0000 0.5000  8 O 2.36-2.39
Eu 0.7500 0.5000 0.0000  8 O 2.36-2.39
Re 0.0196 0.4093 0.2848  4 O 1.74-1.80
Re 0.0196 0.5907 0.7152  4 O 1.74-1.80
Re 0.9804 0.2848 0.5907  4 O 1.74-1.80
Re 0.5196 0.9093 0.2152  4 O 1.74-1.80
Re 0.9804 0.7152 0.4093  4 O 1.74-1.80
Re 0.5196 0.0907 0.7848  4 O 1.74-1.80
Re 0.4804 0.7848 0.9093  4 O 1.74-1.80
Re 0.4804 0.2152 0.0907  4 O 1.74-1.80
O 0.2052 0.1842 0.0485  1 Re 1.74
O 0.2052 0.8158 0.9515  1 Re 1.74
O 0.7948 0.0485 0.8158  1 Re 1.74
O 0.7052 0.6842 0.4515  1 Re 1.74
O 0.7948 0.9515 0.1842  1 Re 1.74
O 0.7052 0.3158 0.5485  1 Re 1.74
O 0.2948 0.5485 0.6842  1 Re 1.74
O 0.2948 0.4515 0.3158  1 Re 1.74
O 0.1775 0.3645 0.5252  1 Re 1.74
O 0.1775 0.6355 0.4748  1 Re 1.74
O 0.8225 0.5252 0.6355  1 Re 1.74
O 0.6775 0.8645 0.9748  1 Re 1.74
O 0.8225 0.4748 0.3645  1 Re 1.74
O 0.6775 0.1355 0.0252  1 Re 1.74
O 0.3225 0.0252 0.8645  1 Re 1.74
O 0.3225 0.9748 0.1355  1 Re 1.74
O 0.0380 0.1477 0.5639  1 Re 1.80
O 0.0380 0.8523 0.4361  1 Re 1.80
O 0.9620 0.5639 0.8523  1 Re 1.80
O 0.5380 0.6477 0.9361  1 Re 1.80
O 0.9620 0.4361 0.1477  1 Re 1.80
O 0.5380 0.3523 0.0639  1 Re 1.80
O 0.4620 0.0639 0.6477  1 Re 1.80
O 0.4620 0.9361 0.3523  1 Re 1.80
O 0.5003 0.1905 0.2257  1 Re 1.74
O 0.5003 0.8095 0.7743  1 Re 1.74
O 0.4997 0.2257 0.8095  1 Re 1.74
O 0.0003 0.6905 0.2743  1 Re 1.74
O 0.4997 0.7743 0.1905  1 Re 1.74
O 0.0003 0.3095 0.7257  1 Re 1.74
O 0.9997 0.7257 0.6905  1 Re 1.74
O 0.9997 0.2743 0.3095  1 Re 1.74
O 0.0345 0.0636 0.3556  1 Eu 2.36
O 0.0345 0.9364 0.6444  1 Eu 2.36
O 0.9655 0.3556 0.9364  1 Eu 2.36
O 0.5345 0.5636 0.1444  1 Eu 2.36
O 0.9655 0.6444 0.0636  1 Eu 2.36
O 0.5345 0.4364 0.8556  1 Eu 2.36
O 0.4655 0.8556 0.5636  1 Eu 2.36
O 0.4655 0.1444 0.4364  1 Eu 2.36

Properties
ΔH_f (0 K)	-1625	meV per atom


Here is a geometry-optimized GdDy structure from the Materials Project. Energies are from PBE.

Unit cell a=3.5806 b=3.5806 c=5.7195 alpha=90.00 beta=90.00 gamma=120.00
Last column: nearest neighbours and their distance in Å.
Fractional positions:
Gd 0.0000 0.0000 0.5000  6 Dy 3.53, 6 Gd 3.58
Dy 0.3333 0.6667 0.0000  6 Gd 3.53, 6 Dy 3.58

Properties
ΔH_f (0 K)	9	meV per atom


Here is a geometry-optimized YTa3O9 structure from the Materials Project. Energies are from PBE.

Unit cell a=5.5622 b=8.8236 c=8.8609 alpha=66.51 beta=71.71 gamma=71.65
Last column: nearest neighbours and their distance in Å.
Fractional positions:
Y 0.6842 0.6406 0.9989  5 O 2.38-2.56
Y 0.3356 0.3565 0.0028  8 O 2.40-2.68
Ta 0.9249 0.4096 0.7417  6 O 1.91-2.07
Ta 0.4183 0.9192 0.2470  6 O 1.95-2.00
Ta 0.7507 0.2369 0.2670  5 O 1.90-2.06
Ta 0.5804 0.0809 0.7552  6 O 1.95-1.99
Ta 0.2502 0.7636 0.7351  6 O 1.89-2.12
Ta 0.0763 0.5921 0.2570  6 O 1.91-2.07
O 0.4201 0.9005 0.7734  2 Ta 1.93-1.99
O 0.9994 0.5009 0.5001  2 Ta 1.92-1.93
O 0.4983 0.0030 0.0007  2 Ta 1.95
O 0.8098 0.3561 0.0005  2 Ta 2.07-2.13
O 0.9010 0.8989 0.7717  2 Ta 1.94-1.99
O 0.4233 0.4250 0.2218  2 Ta 2.05-2.06
O 0.2427 0.2479 0.7721  2 Ta 1.91-1.99
O 0.2722 0.7493 0.2278  2 Ta 1.91-2.00
O 0.0748 0.5713 0.7806  2 Ta 2.04-2.06
O 0.1745 0.6436 0.9998  2 Ta 2.06-2.12
O 0.6646 0.1658 0.5057  2 Ta 1.90-1.98
O 0.3327 0.8332 0.4965  2 Ta 1.89-1.98
O 0.7496 0.7494 0.2270  2 Ta 1.93-1.99
O 0.5727 0.5764 0.7793  2 Ta 2.04-2.07
O 0.7197 0.2546 0.7725  2 Ta 1.93-1.99
O 0.0961 0.1009 0.2291  2 Ta 1.93-1.99
O 0.9221 0.4275 0.2194  2 Ta 2.03-2.07
O 0.5758 0.0987 0.2315  2 Ta 1.94-1.98

Properties
ΔE to the lowest computed polymorph	50	meV per atom
ΔH_f (0 K)	-3463	meV per atom


no.,final energy (Ry/atom)
1,-0.488
2,-0.398
3,-0.265
4,-0.534
5,-0.686
6,-0.709